a | {
  "formula": "Nb2O5",
  "functional": "PBE",
  "state": "relaxed",
  "spacegroup": "P-1, No. 2",
  "crystal_system": "triclinic",
  "cell": [[-6.1391, -1.8686, -4.4101], [-7.7848, -1.9256, 8.2227], [-4.6633, 10.5059, -1.3957]],
  "species": ["O", "O", "O", "O", "O", "Nb", "O", "O", "O", "O", "O", "Nb", "Nb", "O", "Nb", "O", "O", "O", "O", "O", "O", "O", "Nb", "O", "O", "Nb", "O", "O", "Nb", "O", "O", "Nb", "O", "O", "Nb", "Nb", "O", "Nb", "Nb", "O", "O", "O", "Nb", "O", "O", "Nb", "O", "O", "Nb", "O", "O", "O", "O", "Nb", "Nb", "O", "O", "Nb", "Nb", "Nb", "O", "O", "O", "O", "O", "O", "O", "O", "O", "O"],
  "frac_coords": [[0.0156, 0.3603, 0.5214], [0.1627, 0.3888, 0.9587], [0.3941, 0.7318, 0.7084], [0.8628, 0.9625, 0.6083], [0.5571, 0.1355, 0.6369], [0.1963, 0.8865, 0.3240], [0.8373, 0.6112, 0.0413], [0.2921, 0.4711, 0.3615], [0.7885, 0.4780, 0.3676], [0.5770, 0.5105, 0.1883], [0.2748, 0.0673, 0.8349], [0.3014, 0.1137, 0.6779], [0.7656, 0.4146, 0.5221], [0.8743, 0.3610, 0.1383], [0.5801, 0.2070, 0.4412], [0.1257, 0.6390, 0.8617], [0.1147, 0.2678, 0.2903], [0.7252, 0.9327, 0.1651], [0.0000, 0.0000, 0.0000], [0.9259, 0.4904, 0.8121], [0.0562, 0.1371, 0.6383], [0.6484, 0.0390, 0.3908], [0.6986, 0.8863, 0.3221], [0.5000, 0.0000, 0.0000], [0.6245, 0.6359, 0.8630], [0.0957, 0.2090, 0.4389], [0.9844, 0.6397, 0.4786], [0.6916, 0.1653, 0.0680], [0.6417, 0.3208, 0.1176], [0.7449, 0.3054, 0.7151], [0.2439, 0.2931, 0.7308], [0.2492, 0.0022, 0.0011], [0.6705, 0.8084, 0.5100], [0.7079, 0.5289, 0.6385], [0.6878, 0.4464, 0.8009], [0.4199, 0.7930, 0.5588], [0.4230, 0.4895, 0.8117], [0.8037, 0.1135, 0.6760], [0.2344, 0.5854, 0.4779], [0.4429, 0.8645, 0.3631], [0.5436, 0.3598, 0.5216], [0.0741, 0.5096, 0.1879], [0.9043, 0.7910, 0.5611], [0.3755, 0.3641, 0.1370], [0.7736, 0.0721, 0.8338], [0.3122, 0.5536, 0.1991], [0.6633, 0.3871, 0.9595], [0.3084, 0.8347, 0.9320], [0.1399, 0.3257, 0.1096], [0.3516, 0.9610, 0.6092], [0.9438, 0.8629, 0.3617], [0.8853, 0.7322, 0.7097], [0.1733, 0.7935, 0.5119], [0.8601, 0.6743, 0.8904], [0.1925, 0.4440, 0.7864], [0.3367, 0.6129, 0.0405], [0.2264, 0.9279, 0.1662], [0.3583, 0.6792, 0.8824], [0.8075, 0.5560, 0.2136], [0.7508, 0.9978, 0.9989], [0.3295, 0.1916, 0.4900], [0.8267, 0.2065, 0.4881], [0.6059, 0.2682, 0.2916], [0.1916, 0.1645, 0.0680], [0.2551, 0.6946, 0.2849], [0.8084, 0.8355, 0.9320], [0.4564, 0.6402, 0.4784], [0.2115, 0.5220, 0.6324], [0.1372, 0.0375, 0.3917], [0.7561, 0.7069, 0.2692]]
}


b | {
  "formula": "Nb2O5",
  "functional": "PBE",
  "state": "relaxed",
  "spacegroup": "C2/m, No. 12",
  "crystal_system": "monoclinic",
  "cell": [[1.8952, 14.6898, 0.0000], [-1.8952, 14.6898, 0.0000], [0.0000, 10.3871, 14.7805]],
  "species": ["O", "O", "Nb", "O", "O", "Nb", "O", "O", "Nb", "O", "O", "O", "O", "Nb", "O", "Nb", "Nb", "O", "O", "O", "O", "Nb", "Nb", "O", "Nb", "O", "O", "Nb", "O", "O", "O", "O", "O", "O", "O", "Nb", "O", "O", "Nb", "Nb", "O", "Nb", "O", "O", "Nb", "O", "O", "O", "O", "O", "Nb", "O", "O", "O", "O", "O"],
  "frac_coords": [[0.3306, 0.3306, 0.3599], [0.3713, 0.3713, 0.6437], [0.8449, 0.8449, 0.3723], [0.4109, 0.4109, 0.9465], [0.8540, 0.8540, 0.9171], [0.6601, 0.6601, 0.8984], [0.1024, 0.1024, 0.7761], [0.0904, 0.0904, 0.6346], [0.7531, 0.7531, 0.6342], [0.2297, 0.2297, 0.6426], [0.9851, 0.9851, 0.9387], [0.8681, 0.8681, 0.0760], [0.5891, 0.5891, 0.0535], [0.0234, 0.0234, 0.6267], [0.3050, 0.3050, 0.2236], [0.1106, 0.1106, 0.3663], [0.8894, 0.8894, 0.6337], [0.6287, 0.6287, 0.3563], [0.2740, 0.2740, 0.9379], [0.1460, 0.1460, 0.0829], [0.1901, 0.1901, 0.3553], [0.2057, 0.2057, 0.0998], [0.3399, 0.3399, 0.1016], [0.7183, 0.7183, 0.9089], [0.9391, 0.9391, 0.1018], [0.2048, 0.2048, 0.4990], [0.5158, 0.5158, 0.6575], [0.9248, 0.9248, 0.9031], [0.7260, 0.7260, 0.0621], [0.9729, 0.9729, 0.7839], [0.7703, 0.7703, 0.3574], [0.0466, 0.0466, 0.3639], [0.9294, 0.9294, 0.5021], [0.6694, 0.6694, 0.6401], [0.8376, 0.8376, 0.7774], [0.2469, 0.2469, 0.3658], [0.1319, 0.1319, 0.9240], [0.9096, 0.9096, 0.3654], [0.0609, 0.0609, 0.8982], [0.9766, 0.9766, 0.3733], [0.2817, 0.2817, 0.0911], [0.0752, 0.0752, 0.0969], [0.4842, 0.4842, 0.3425], [0.0149, 0.0149, 0.0613], [0.7943, 0.7943, 0.9002], [0.1624, 0.1624, 0.2226], [0.0271, 0.0271, 0.2161], [0.8976, 0.8976, 0.2239], [0.5741, 0.5741, 0.9125], [0.9534, 0.9534, 0.6361], [0.1551, 0.1551, 0.6277], [0.6950, 0.6950, 0.7764], [0.4259, 0.4259, 0.0875], [0.7952, 0.7952, 0.5010], [0.8099, 0.8099, 0.6447], [0.0706, 0.0706, 0.4979]]
}


Result of the stability comparison: b is the most stable of them.


a | {
  "formula": "Nb2O5",
  "functional": "PBE",
  "state": "relaxed",
  "spacegroup": "C2/c, No. 15",
  "crystal_system": "monoclinic",
  "cell": [[-6.6694, 1.9472, 0.1741], [-6.2475, -3.0072, 0.4782], [-1.1095, 0.2474, 5.5708]],
  "species": ["O", "O", "O", "O", "O", "O", "O", "O", "Nb", "O", "O", "Nb", "Nb", "Nb"],
  "frac_coords": [[0.1367, 0.2740, 0.8720], [0.7260, 0.8633, 0.6280], [0.1115, 0.8885, 0.7500], [0.8885, 0.1115, 0.2500], [0.8633, 0.7260, 0.1280], [0.6630, 0.5600, 0.5202], [0.4400, 0.3370, 0.9798], [0.3370, 0.4400, 0.4798], [0.3836, 0.8989, 0.7470], [0.2740, 0.1367, 0.3720], [0.5600, 0.6630, 0.0202], [0.1011, 0.6164, 0.7530], [0.8989, 0.3836, 0.2470], [0.6164, 0.1011, 0.2530]]
}


b | {
  "formula": "Nb2O5",
  "functional": "PBE",
  "state": "relaxed",
  "spacegroup": "P2, No. 3",
  "crystal_system": "monoclinic",
  "total_magnetization_mub_per_fu": 0.0,
  "cell": [[3.8719, 0.0000, 0.0000], [0.0000, 19.7888, 0.0000], [0.0000, 9.0294, 18.7540]],
  "species": ["O", "O", "O", "O", "O", "Nb", "O", "O", "O", "Nb", "O", "O", "O", "Nb", "O", "O", "O", "O", "O", "Nb", "O", "O", "O", "O", "O", "O", "Nb", "O", "O", "O", "Nb", "O", "O", "O", "O", "O", "Nb", "Nb", "O", "O", "O", "O", "O", "Nb", "O", "O", "O", "O", "O", "O", "O", "O", "Nb", "O", "Nb", "O", "O", "O", "Nb", "O", "O", "O", "O", "Nb", "O", "Nb", "O", "O", "Nb", "O", "O", "O", "O", "O", "O", "Nb", "Nb", "O", "O", "O", "Nb", "O", "O", "Nb", "Nb", "O", "O", "Nb", "Nb", "Nb", "Nb", "O", "Nb", "Nb", "O", "Nb", "O", "Nb"],
  "frac_coords": [[0.5050, 0.6606, 0.9336], [0.4994, 0.6568, 0.3545], [0.5000, 0.6595, 0.2084], [0.4998, 0.8181, 0.8682], [0.9918, 0.0818, 0.6732], [0.0205, 0.1557, 0.5666], [0.5050, 0.3394, 0.0664], [0.0003, 0.4150, 0.9634], [0.0000, 0.6073, 0.5889], [0.0205, 0.8443, 0.4334], [0.9997, 0.7622, 0.6682], [0.4998, 0.5036, 0.5858], [0.4995, 0.4988, 0.7283], [0.4996, 0.5785, 0.2964], [0.0036, 0.9189, 0.6027], [0.4996, 0.6587, 0.7990], [0.0046, 0.0858, 0.8044], [0.0046, 0.9142, 0.1956], [0.4994, 0.8345, 0.4262], [0.9990, 0.6849, 0.3609], [0.5054, 0.8201, 0.1532], [0.5062, 0.6609, 0.0728], [0.0035, 0.2474, 0.8853], [0.4955, 0.0137, 0.2063], [0.9951, 0.7617, 0.5340], [0.9987, 0.7469, 0.4028], [0.7662, 0.0000, 0.0000], [0.0001, 0.7537, 0.2628], [0.4991, 0.0000, 0.5000], [0.4951, 0.1815, 0.9969], [0.9929, 0.0041, 0.7631], [0.0070, 0.0795, 0.5361], [0.0000, 0.3927, 0.4111], [0.4998, 0.1819, 0.1318], [0.9989, 0.9236, 0.7356], [0.0002, 0.5950, 0.7409], [0.4754, 0.5749, 0.0359], [0.0113, 0.1599, 0.8341], [0.9939, 0.9150, 0.8821], [0.9998, 0.5772, 0.4617], [0.4993, 0.6643, 0.6534], [0.4946, 0.0263, 0.0595], [0.4946, 0.9737, 0.9405], [0.9725, 0.0000, 0.5000], [0.0070, 0.9205, 0.4639], [0.9987, 0.2531, 0.5972], [0.9939, 0.0850, 0.1179], [0.0036, 0.0811, 0.3973], [0.0016, 0.7546, 0.8131], [0.4994, 0.1655, 0.5738], [0.5000, 0.3405, 0.7916], [0.4993, 0.3357, 0.3466], [0.4996, 0.4215, 0.7036], [0.0069, 0.0867, 0.9389], [0.0113, 0.8401, 0.1659], [0.0002, 0.4050, 0.2591], [0.5036, 0.5009, 0.8619], [0.5001, 0.5000, 0.0000], [0.5037, 0.2657, 0.1584], [0.4996, 0.3413, 0.2010], [0.0003, 0.5850, 0.0366], [0.0035, 0.7526, 0.1147], [0.9998, 0.4228, 0.5383], [0.9929, 0.9959, 0.2369], [0.9918, 0.9182, 0.3268], [0.9980, 0.6932, 0.6289], [0.5062, 0.3391, 0.9272], [0.0016, 0.2454, 0.1869], [0.4857, 0.8896, 0.9074], [0.0001, 0.2463, 0.7372], [0.9996, 0.5737, 0.3293], [0.9997, 0.2378, 0.3318], [0.4998, 0.4964, 0.4142], [0.9996, 0.4263, 0.6707], [0.9951, 0.2383, 0.4660], [0.4857, 0.1104, 0.0926], [0.9980, 0.3068, 0.3711], [0.5014, 0.1741, 0.2768], [0.4994, 0.3432, 0.6455], [0.5014, 0.8259, 0.7232], [0.5015, 0.4188, 0.2292], [0.5036, 0.4991, 0.1381], [0.0069, 0.9133, 0.0611], [0.0035, 0.8484, 0.6966], [0.5037, 0.7343, 0.8416], [0.4951, 0.8185, 0.0031], [0.4995, 0.5012, 0.2717], [0.9998, 0.4682, 0.4378], [0.5015, 0.5812, 0.7708], [0.5064, 0.2653, 0.8980], [0.9990, 0.3151, 0.6391], [0.4955, 0.9863, 0.7937], [0.9998, 0.5318, 0.5622], [0.5064, 0.7347, 0.1020], [0.5054, 0.1799, 0.8468], [0.4754, 0.4251, 0.9641], [0.9989, 0.0764, 0.2644], [0.0035, 0.1516, 0.3034]]
}


c | {
  "formula": "Nb2O5",
  "functional": "PBE",
  "state": "relaxed",
  "spacegroup": "I4/mmm, No. 139",
  "crystal_system": "tetragonal",
  "cell": [[-10.3865, 10.3865, 1.9285], [10.3865, -10.3865, 1.9285], [10.3865, 10.3865, -1.9285]],
  "species": ["O", "Nb", "O", "Nb", "O", "O", "O", "Nb", "Nb", "O", "Nb", "Nb", "O", "O", "O", "O", "O", "Nb", "O", "O", "Nb", "O", "O", "O", "Nb", "O", "O", "O", "O", "O", "Nb", "O", "O", "O", "O", "O", "Nb", "O", "Nb", "O", "Nb", "O", "O", "O", "O", "Nb", "O", "O", "O", "O", "Nb", "Nb", "O", "O", "O", "O"],
  "frac_coords": [[0.5000, 0.3553, 0.8553], [0.5997, 0.0000, 0.5997], [0.5000, 0.0667, 0.5667], [0.7339, 0.8649, 0.5987], [0.2104, 0.3516, 0.5620], [0.7896, 0.6484, 0.4380], [0.2063, 0.2063, 0.4126], [0.8649, 0.2661, 0.1310], [0.8688, 0.0000, 0.8688], [0.0683, 0.6532, 0.7216], [0.2661, 0.1351, 0.4013], [0.0000, 0.4003, 0.4003], [0.9333, 0.5000, 0.4333], [0.3516, 0.7896, 0.1412], [0.9302, 0.2090, 0.1392], [0.3468, 0.9317, 0.2784], [0.0693, 0.0693, 0.1387], [0.7339, 0.1351, 0.8690], [0.2063, 0.7937, 0.0000], [0.7910, 0.9302, 0.7212], [0.4003, 0.0000, 0.4003], [0.3516, 0.2104, 0.5620], [0.9317, 0.3468, 0.2784], [0.5000, 0.6447, 0.1447], [0.1351, 0.2661, 0.4013], [0.7910, 0.0698, 0.8608], [0.6532, 0.0683, 0.7216], [0.2104, 0.6484, 0.8588], [0.3553, 0.5000, 0.8553], [0.0698, 0.7910, 0.8608], [0.0000, 0.8688, 0.8688], [0.9302, 0.7910, 0.7212], [0.6484, 0.2104, 0.8588], [0.7937, 0.2063, 0.0000], [0.9307, 0.0693, 0.0000], [0.9317, 0.6532, 0.5849], [0.1312, 0.0000, 0.1312], [0.2090, 0.0698, 0.2788], [0.0000, 0.1312, 0.1312], [0.7896, 0.3516, 0.1412], [0.1351, 0.7339, 0.8690], [0.6532, 0.9317, 0.5849], [0.9307, 0.9307, 0.8613], [0.6447, 0.5000, 0.1447], [0.0698, 0.2090, 0.2788], [0.0000, 0.5997, 0.5997], [0.5000, 0.9333, 0.4333], [0.6484, 0.7896, 0.4380], [0.7937, 0.7937, 0.5874], [0.0693, 0.9307, 0.0000], [0.2661, 0.8649, 0.1310], [0.8649, 0.7339, 0.5987], [0.0667, 0.5000, 0.5667], [0.3468, 0.0683, 0.4151], [0.2090, 0.9302, 0.1392], [0.0683, 0.3468, 0.4151]]
}


Result of the stability comparison: b is the most stable of them.


a | {
  "formula": "Nb2O5",
  "functional": "PBE",
  "state": "relaxed",
  "e_ij_max_c_m2": 2.37,
  "spacegroup": "C2, No. 5",
  "crystal_system": "monoclinic",
  "total_magnetization_mub_per_fu": 0.0,
  "cell": [[-3.8936, -0.7861, 0.8211], [0.4928, -2.8111, 2.8822], [-1.5269, 2.0448, 5.2586]],
  "species": ["O", "O", "Nb", "O", "O", "Nb", "O"],
  "frac_coords": [[0.2379, 0.1159, 0.0360], [0.7911, 0.3627, 0.6463], [0.2291, 0.1503, 0.7049], [0.2829, 0.7171, 0.5000], [0.6373, 0.2089, 0.3537], [0.8497, 0.7709, 0.2951], [0.8841, 0.7621, 0.9640]]
}


b | {
  "formula": "Nb2O5",
  "functional": "PBE",
  "state": "relaxed",
  "spacegroup": "C2/m, No. 12",
  "crystal_system": "monoclinic",
  "cell": [[6.0395, -0.4930, -3.1445], [6.6637, 1.4783, 0.1300], [0.7863, -3.4778, 1.9437]],
  "species": ["O", "O", "O", "Nb", "Nb", "O", "O"],
  "frac_coords": [[0.8524, 0.8524, 0.5106], [0.6850, 0.6850, 0.9969], [0.0000, 0.0000, 0.0000], [0.1462, 0.1462, 0.9328], [0.8538, 0.8538, 0.0672], [0.1476, 0.1476, 0.4894], [0.3150, 0.3150, 0.0031]]
}


c | {
  "formula": "Nb2O5",
  "functional": "PBE",
  "state": "relaxed",
  "spacegroup": "P1, No. 1",
  "crystal_system": "triclinic",
  "total_magnetization_mub_per_fu": 0.0,
  "cell": [[3.8619, 0.0000, 0.0000], [1.9274, 14.5880, 0.0000], [1.9311, 4.2577, 14.7114]],
  "species": ["Nb", "O", "O", "O", "O", "Nb", "O", "O", "O", "Nb", "O", "O", "Nb", "O", "O", "Nb", "O", "O", "Nb", "O", "Nb", "O", "Nb", "O", "O", "Nb", "Nb", "O", "O", "O", "O", "O", "O", "O", "O", "O", "O", "Nb", "Nb", "O", "O", "O", "O", "O", "Nb", "O", "O", "O", "O", "O", "O", "Nb", "O", "Nb", "Nb", "O"],
  "frac_coords": [[0.3062, 0.4883, 0.0982], [0.5465, 0.2653, 0.3546], [0.8347, 0.6858, 0.3513], [0.2275, 0.6264, 0.0820], [0.9444, 0.1862, 0.0742], [0.0389, 0.0230, 0.1012], [0.7020, 0.0921, 0.4986], [0.8712, 0.8974, 0.6420], [0.3719, 0.3441, 0.0899], [0.5346, 0.5922, 0.6319], [0.9848, 0.3957, 0.3585], [0.5281, 0.1652, 0.2232], [0.8304, 0.2471, 0.9036], [0.0568, 0.8144, 0.9263], [0.1273, 0.1031, 0.3591], [0.6709, 0.3290, 0.6289], [0.7211, 0.1832, 0.6367], [0.3578, 0.2325, 0.9449], [0.6942, 0.5119, 0.9024], [0.1194, 0.9842, 0.2239], [0.7806, 0.0610, 0.6290], [0.4302, 0.6429, 0.5003], [0.1719, 0.7535, 0.0969], [0.6439, 0.7684, 0.0556], [0.5864, 0.4596, 0.6373], [0.4677, 0.4090, 0.3681], [0.5593, 0.7836, 0.9004], [0.4729, 0.8343, 0.7777], [0.7583, 0.2718, 0.7828], [0.6915, 0.9792, 0.3611], [0.4130, 0.5415, 0.3627], [0.8796, 0.0180, 0.7765], [0.5756, 0.3585, 0.4998], [0.2969, 0.9081, 0.5020], [0.6123, 0.5489, 0.7796], [0.7888, 0.4860, 0.0631], [0.0758, 0.9103, 0.0616], [0.2172, 0.9399, 0.3714], [0.3846, 0.8621, 0.6344], [0.2753, 0.8181, 0.3629], [0.2120, 0.5139, 0.9380], [0.7735, 0.3740, 0.9189], [0.0169, 0.6049, 0.6425], [0.5134, 0.0605, 0.0872], [0.9615, 0.9780, 0.8991], [0.2450, 0.7294, 0.2174], [0.3887, 0.4513, 0.2210], [0.9254, 0.0907, 0.9387], [0.6287, 0.6560, 0.9117], [0.3072, 0.0214, 0.6398], [0.1682, 0.3144, 0.6489], [0.4422, 0.2166, 0.1004], [0.4524, 0.7354, 0.6456], [0.3637, 0.6721, 0.3711], [0.6126, 0.1386, 0.3661], [0.4870, 0.9405, 0.9128]]
}


d | {
  "formula": "Nb2O5",
  "functional": "PBE",
  "state": "relaxed",
  "spacegroup": "P2_12_12_1, No. 19",
  "crystal_system": "orthorhombic",
  "cell": [[5.3433, 0.0000, 0.0000], [0.0000, 9.7019, 0.0000], [0.0000, 0.0000, 9.9785]],
  "species": ["O", "O", "O", "Nb", "O", "Nb", "O", "O", "O", "O", "O", "Nb", "O", "Nb", "Nb", "O", "O", "O", "O", "Nb", "Nb", "O", "O", "O", "Nb", "O", "O", "O"],
  "frac_coords": [[0.2273, 0.7137, 0.7671], [0.6654, 0.4980, 0.1748], [0.1076, 0.7947, 0.0276], [0.1188, 0.1546, 0.4021], [0.7727, 0.2137, 0.7329], [0.8865, 0.0307, 0.7168], [0.9746, 0.0178, 0.5342], [0.3924, 0.2053, 0.5276], [0.1654, 0.0020, 0.8252], [0.8346, 0.5020, 0.6748], [0.1362, 0.5959, 0.2380], [0.6135, 0.9693, 0.2168], [0.3346, 0.9980, 0.3252], [0.1135, 0.5307, 0.7832], [0.3865, 0.4693, 0.2832], [0.7273, 0.7863, 0.2329], [0.6076, 0.7053, 0.9724], [0.8924, 0.2947, 0.4724], [0.3638, 0.4041, 0.7380], [0.6188, 0.3454, 0.5979], [0.3812, 0.8454, 0.9021], [0.6362, 0.9041, 0.7620], [0.5254, 0.9822, 0.0342], [0.8638, 0.0959, 0.2620], [0.8812, 0.6546, 0.0979], [0.4746, 0.4822, 0.4658], [0.0254, 0.5178, 0.9658], [0.2727, 0.2863, 0.2671]]
}


Result of the stability comparison: b is the most stable of them.